VASP calculation (PBE) on an optimized crystal structure of SrCaLaSbO6.

Lattice parameters (Å, degrees): 5.9552 5.9552 8.6265 90.00 90.00 89.49
Closest atoms and distances in Å follow each position.
Element x y z (fractional)
Sr 0.0000 0.0000 0.7500  4 O 2.62
Sr 0.0000 0.0000 0.2500  4 O 2.62
O 0.8470 0.8023 0.5000  1 Sb 2.01
O 0.6943 0.3520 0.5000  1 Sb 2.03
O 0.1977 0.1530 0.0000  1 Sb 2.01
O 0.6480 0.3057 0.0000  1 Sb 2.03
O 0.0000 0.5000 0.2673  1 Sb 2.01
O 0.5000 0.0000 0.2327  1 Sb 2.01
O 0.8023 0.8470 0.0000  1 Sb 2.01
O 0.3057 0.6480 0.5000  1 Sb 2.03
O 0.0000 0.5000 0.7327  1 Sb 2.01
O 0.5000 0.0000 0.7673  1 Sb 2.01
O 0.1530 0.1977 0.5000  1 Sb 2.01
O 0.3520 0.6943 0.0000  1 Sb 2.03
Ca 0.5000 0.5000 0.2500  4 O 2.60
Ca 0.5000 0.5000 0.7500  4 O 2.60
La 0.5000 0.0000 0.5000  6 O 2.31-2.40
La 0.0000 0.5000 0.0000  6 O 2.31-2.40
Sb 0.0000 0.5000 0.5000  6 O 2.01-2.03
Sb 0.5000 0.0000 0.0000  6 O 2.01-2.03

Size of the total moment, Bohr magnetons per cell: 0.0
Uncorrected energy, eV/atom: -6.799